# 1
Computed, not measured: Li3Mn4B4O12 after structural relaxation at the PBE+U level of DFT.

```
Li3Mn4B4O12
1.0
-1.533 -0.199 -5.975
-7.072 -3.538 0.546
-4.973 9.209 0.453
O Li B Mn
24 6 8 8
direct
0.521 0.652 0.428 O
0.255 0.047 0.997 O
0.503 0.650 0.930 O
0.266 0.442 0.255 O
0.745 0.953 0.003 O
0.011 0.319 0.475 O
0.982 0.860 0.821 O
0.989 0.681 0.525 O
0.479 0.348 0.572 O
0.013 0.143 0.666 O
0.987 0.857 0.334 O
0.497 0.350 0.070 O
0.261 0.049 0.491 O
0.271 0.473 0.757 O
0.018 0.140 0.179 O
0.496 0.832 0.739 O
0.477 0.186 0.771 O
0.504 0.168 0.261 O
0.032 0.329 0.998 O
0.729 0.527 0.243 O
0.523 0.814 0.229 O
0.734 0.558 0.745 O
0.739 0.951 0.509 O
0.968 0.671 0.002 O
0.535 0.153 0.957 Li
0.467 0.847 0.546 Li
0.533 0.153 0.454 Li
0.020 0.640 0.717 Li
0.980 0.360 0.283 Li
0.465 0.847 0.043 Li
0.900 0.830 0.944 B
0.094 0.169 0.543 B
0.425 0.324 0.200 B
0.100 0.170 0.056 B
0.407 0.340 0.701 B
0.906 0.831 0.457 B
0.575 0.676 0.800 B
0.593 0.660 0.299 B
0.252 0.497 0.953 Mn
0.746 0.009 0.701 Mn
0.748 0.492 0.556 Mn
0.252 0.508 0.444 Mn
0.254 0.991 0.299 Mn
0.748 0.503 0.047 Mn
0.772 0.979 0.201 Mn
0.228 0.021 0.799 Mn
```

Summary:
- crystal system = triclinic



# 2
Computed, not measured: Ho2MgV2O8 after structural relaxation at the PBE+U level of DFT.

```
Ho2MgV2O8
1.0
-2.287 -5.210 2.083
4.146 -0.533 -4.386
2.907 2.637 4.797
Mg O Ho V
1 8 2 2
direct
0.140 0.860 0.250 Mg
0.808 0.393 0.566 O
0.253 0.185 0.540 O
0.189 0.635 0.413 O
0.607 0.192 0.934 O
0.815 0.747 0.960 O
0.365 0.811 0.087 O
0.767 0.812 0.432 O
0.188 0.233 0.068 O
0.847 0.153 0.250 Ho
0.129 0.871 0.750 Ho
0.622 0.378 0.750 V
0.405 0.595 0.250 V
```

Summary:
- crystal system = monoclinic



# 3
Computed, not measured: NaSrPrMnO6 after structural relaxation at the PBE+U level of DFT.

```
NaSrPrMnO6
1.0
0.000 -4.209 -4.209
4.209 0.000 -4.209
4.209 -4.209 0.000
Mn Pr Sr O Na
1 1 1 6 1
direct
0.000 0.000 0.000 Mn
0.500 0.500 0.500 Pr
0.750 0.750 0.750 Sr
0.775 0.225 0.225 O
0.225 0.775 0.775 O
0.775 0.225 0.775 O
0.225 0.225 0.775 O
0.225 0.775 0.225 O
0.775 0.775 0.225 O
0.250 0.250 0.250 Na
```

Summary:
- crystal system = cubic



Number 1: calculated formation energy -237.5 kJ per mole of atoms. Number 2: calculated formation energy -297.3 kJ per mole of atoms. Number 3: calculated formation energy -218.5 kJ per mole of atoms.